# Li3Cu2S3O12 PBE optimized geometry
# uncorrected energy	-5.720	eV/atom
# calculated formation energy	-1.85	eV per atom
# excess energy over the best structure of this formula in the dataset	0.009	eV per atom
data_Li3Cu2S3O12
_chemical_formula_sum 'Li18 Cu12 S18 O72'
_space_group_name_H-M_alt 'R -3'
_space_group_IT_number 148
_space_group_name_Hall '-R 3'
_cell_length_a 8.5924
_cell_length_b 8.5924
_cell_length_c 23.0496
_cell_angle_alpha 90.00
_cell_angle_beta 90.00
_cell_angle_gamma 120.00
loop_
_atom_site_label
_atom_site_type_symbol
_atom_site_fract_x
_atom_site_fract_y
_atom_site_fract_z
_atom_site_occupancy
Li1 Li 0.0119 0.3740 0.2163 1
Cu1 Cu 0.0000 0.0000 0.1560 1
Cu2 Cu 0.0000 0.0000 0.3520 1
S1 S 0.0000 0.2965 0.7503 1
O1 O 0.0008 0.7911 0.3040 1
O2 O 0.0607 0.8301 0.5879 1
O3 O 0.0808 0.5722 0.8682 1
O4 O 0.0908 0.5694 0.5644 1


# Pr2Ga9Ru3 PBE optimized geometry
# uncorrected energy	-5.148	eV/atom
# calculated formation energy	-0.53	eV per atom
data_Pr2Ga9Ru3
_chemical_formula_sum 'Pr8 Ga36 Ru12'
_space_group_name_H-M_alt 'C m c m'
_space_group_IT_number 63
_space_group_name_Hall '-C 2c 2'
_cell_length_a 13.0737
_cell_length_b 7.6335
_cell_length_c 9.8982
_cell_angle_alpha 90.00
_cell_angle_beta 90.00
_cell_angle_gamma 90.00
loop_
_atom_site_label
_atom_site_type_symbol
_atom_site_fract_x
_atom_site_fract_y
_atom_site_fract_z
_atom_site_occupancy
Pr1 Pr 0.1640 0.1671 0.2500 1
Ga1 Ga 0.0000 0.1271 0.7500 1
Ga2 Ga 0.0000 0.3375 0.0558 1
Ga3 Ga 0.1045 0.4404 0.7500 1
Ga4 Ga 0.1647 0.1705 0.5722 1
Ru1 Ru 0.0000 0.0000 0.0000 1
Ru2 Ru 0.1721 0.5000 0.0000 1


# NdRhO3 PBE optimized geometry
# uncorrected energy	-7.478	eV/atom
# calculated formation energy	-2.50	eV per atom
data_NdRhO3
_chemical_formula_sum 'Nd4 Rh4 O12'
_space_group_name_H-M_alt 'P n m a'
_space_group_IT_number 62
_cell_length_a 5.9094
_cell_length_b 7.8466
_cell_length_c 5.4095
_cell_angle_alpha 90.00
_cell_angle_beta 90.00
_cell_angle_gamma 90.00
loop_
_space_group_symop_operation_xyz
'x,y,z'
'-x,-y,-z'
'-x+1/2,-y,z+1/2'
'x+1/2,y,-z+1/2'
'x+1/2,-y+1/2,-z+1/2'
'-x+1/2,y+1/2,z+1/2'
'-x,y+1/2,-z'
'x,-y+1/2,z'
loop_
_atom_site_label
_atom_site_type_symbol
_atom_site_fract_x
_atom_site_fract_y
_atom_site_fract_z
_atom_site_occupancy
Nd1 Nd 0.0790 0.2500 0.0267 1
Rh1 Rh 0.0000 0.0000 0.5000 1
O1 O 0.0383 0.7500 0.3841 1
O2 O 0.1951 0.5553 0.8169 1


# Sb8Cl2O11 PBE optimized geometry
# uncorrected energy	-5.571	eV/atom
# calculated formation energy	-1.59	eV per atom
# excess energy over the best structure of this formula in the dataset	0.074	eV per atom
data_Sb8Cl2O11
_chemical_formula_sum 'Sb16 Cl4 O22'
_space_group_name_H-M_alt 'P 1 21/c 1'
_space_group_IT_number 14
_cell_length_a 11.1783
_cell_length_b 4.2059
_cell_length_c 18.0559
_cell_angle_alpha 90.00
_cell_angle_beta 97.27
_cell_angle_gamma 90.00
loop_
_space_group_symop_operation_xyz
'x,y,z'
'-x,-y,-z'
'-x,y+1/2,-z+1/2'
'x,-y+1/2,z+1/2'
loop_
_atom_site_label
_atom_site_type_symbol
_atom_site_fract_x
_atom_site_fract_y
_atom_site_fract_z
_atom_site_occupancy
Sb1 Sb 0.0543 0.1827 0.4280 1
Sb2 Sb 0.1332 0.0227 0.7584 1
Sb3 Sb 0.3133 0.6934 0.5192 1
Sb4 Sb 0.3488 0.5472 0.7144 1
Cl1 Cl 0.4859 0.0038 0.5948 1
O1 O 0.0000 0.0000 0.0000 1
O2 O 0.1398 0.5009 0.3705 1
O3 O 0.1918 0.5378 0.7630 1
O4 O 0.2075 0.0765 0.4942 1
O5 O 0.2499 0.5873 0.6138 1
O6 O 0.3039 0.0415 0.7349 1


# Ti2ZnO4 PBE optimized geometry
# uncorrected energy	-7.717	eV/atom
# calculated formation energy	-2.85	eV per atom
# excess energy over the best structure of this formula in the dataset	0.021	eV per atom
data_Ti2ZnO4
_chemical_formula_sum 'Ti8 Zn4 O16'
_space_group_name_H-M_alt 'C 1 2/m 1'
_space_group_IT_number 12
_cell_length_a 14.4863
_cell_length_b 2.9512
_cell_length_c 9.7865
_cell_angle_alpha 90.00
_cell_angle_beta 130.80
_cell_angle_gamma 90.00
loop_
_space_group_symop_operation_xyz
'x,y,z'
'-x,-y,-z'
'-x,y,-z'
'x,-y,z'
'x+1/2,y+1/2,z'
'-x+1/2,-y+1/2,-z'
'-x+1/2,y+1/2,-z'
'x+1/2,-y+1/2,z'
loop_
_atom_site_label
_atom_site_type_symbol
_atom_site_fract_x
_atom_site_fract_y
_atom_site_fract_z
_atom_site_occupancy
Ti1 Ti 0.1412 0.0000 0.4674 1
Ti2 Ti 0.1562 0.5000 0.8175 1
Zn1 Zn 0.1073 0.0000 0.1136 1
O1 O 0.0359 0.0000 0.7210 1
O2 O 0.1485 0.5000 0.6062 1
O3 O 0.1704 0.5000 0.3564 1
O4 O 0.2101 0.5000 0.0648 1


# La6TaGa11O28 PBE optimized geometry
# uncorrected energy	-7.146	eV/atom
# calculated formation energy	-2.93	eV per atom
# excess energy over the best structure of this formula in the dataset	0.003	eV per atom
data_La6TaGa11O28
_chemical_formula_sum 'La6 Ta1 Ga11 O28'
_space_group_name_H-M_alt 'P 1'
_space_group_IT_number 1
_cell_length_a 8.2374
_cell_length_b 9.7210
_cell_length_c 9.7610
_cell_angle_alpha 64.40
_cell_angle_beta 66.32
_cell_angle_gamma 66.41
loop_
_space_group_symop_operation_xyz
'x,y,z'
loop_
_atom_site_label
_atom_site_type_symbol
_atom_site_fract_x
_atom_site_fract_y
_atom_site_fract_z
_atom_site_occupancy
La1 La 0.0000 0.0000 0.0000 1
La2 La 0.0030 0.5027 0.4945 1
La3 La 0.4259 0.0765 0.0793 1
La4 La 0.4405 0.5720 0.5634 1
La5 La 0.8455 0.2850 0.2830 1
La6 La 0.8643 0.7879 0.7761 1
Ta1 Ta 0.4220 0.7892 0.7873 1
Ga1 Ga 0.0845 0.8647 0.3897 1
Ga2 Ga 0.0863 0.3569 0.8857 1
Ga3 Ga 0.1759 0.0740 0.5300 1
Ga4 Ga 0.1796 0.5421 0.0380 1
Ga5 Ga 0.3997 0.6475 0.1780 1
Ga6 Ga 0.4137 0.1581 0.6647 1
Ga7 Ga 0.4242 0.2908 0.2860 1
Ga8 Ga 0.6652 0.4156 0.9173 1
Ga9 Ga 0.6667 0.9219 0.4116 1
Ga10 Ga 0.7505 0.7243 0.1860 1
Ga11 Ga 0.7536 0.2243 0.6925 1
O1 O 0.0815 0.5312 0.7093 1
O2 O 0.0843 0.0304 0.2066 1
O3 O 0.0933 0.3803 0.0626 1
O4 O 0.0928 0.8987 0.5593 1
O5 O 0.2064 0.9750 0.7398 1
O6 O 0.2147 0.4989 0.2312 1
O7 O 0.2583 0.6702 0.3796 1
O8 O 0.2661 0.1665 0.8713 1
O9 O 0.2682 0.2614 0.5250 1
O10 O 0.2845 0.7806 0.0112 1
O11 O 0.3272 0.6115 0.8250 1
O12 O 0.3315 0.1128 0.3252 1
O13 O 0.4866 0.3140 0.0540 1
O14 O 0.5047 0.7972 0.5602 1
O15 O 0.5415 0.7916 0.1201 1
O16 O 0.5517 0.2946 0.6142 1
O17 O 0.5603 0.4455 0.2313 1
O18 O 0.5622 0.9456 0.7228 1
O19 O 0.6344 0.1307 0.3790 1
O20 O 0.6404 0.6329 0.8652 1
O21 O 0.7300 0.9154 0.2069 1
O22 O 0.7310 0.4170 0.7086 1
O23 O 0.7601 0.5531 0.3658 1
O24 O 0.7644 0.0478 0.8655 1
O25 O 0.8749 0.2822 0.9857 1
O26 O 0.8745 0.7882 0.4866 1
O27 O 0.9510 0.2302 0.5101 1
O28 O 0.9608 0.7174 0.0119 1


# Lu2CoOs PBE optimized geometry
# uncorrected energy	-7.116	eV/atom
# calculated formation energy	-0.27	eV per atom
data_Lu2CoOs
_chemical_formula_sum 'Lu8 Co4 Os4'
_space_group_name_H-M_alt 'F m -3 m'
_space_group_IT_number 225
_space_group_name_Hall '-F 4 2 3'
_cell_length_a 6.6007
_cell_length_b 6.6007
_cell_length_c 6.6007
_cell_angle_alpha 90.00
_cell_angle_beta 90.00
_cell_angle_gamma 90.00
loop_
_atom_site_label
_atom_site_type_symbol
_atom_site_fract_x
_atom_site_fract_y
_atom_site_fract_z
_atom_site_occupancy
Lu1 Lu 0.2500 0.2500 0.2500 1
Co1 Co 0.0000 0.0000 0.0000 1
Os1 Os 0.0000 0.0000 0.5000 1


# Mg5Si9 PBE optimized geometry
# uncorrected energy	-3.904	eV/atom
# calculated formation energy	0.20	eV per atom
# excess energy over the best structure of this formula in the dataset	0.050	eV per atom
data_Mg5Si9
_chemical_formula_sum 'Mg10 Si18'
_space_group_name_H-M_alt 'P 1'
_space_group_IT_number 1
_cell_length_a 7.4609
_cell_length_b 7.4879
_cell_length_c 10.3429
_cell_angle_alpha 77.24
_cell_angle_beta 89.93
_cell_angle_gamma 61.82
loop_
_space_group_symop_operation_xyz
'x,y,z'
loop_
_atom_site_label
_atom_site_type_symbol
_atom_site_fract_x
_atom_site_fract_y
_atom_site_fract_z
_atom_site_occupancy
Mg1 Mg 0.0000 0.0000 0.0000 1
Mg2 Mg 0.0013 0.9633 0.7076 1
Mg3 Mg 0.0222 0.8235 0.2834 1
Mg4 Mg 0.0765 0.5232 0.1137 1
Mg5 Mg 0.2026 0.5574 0.5724 1
Mg6 Mg 0.4855 0.6756 0.7049 1
Mg7 Mg 0.5912 0.1916 0.8235 1
Mg8 Mg 0.6265 0.7780 0.1172 1
Mg9 Mg 0.8979 0.4815 0.4165 1
Mg10 Mg 0.9582 0.3759 0.7338 1
Si1 Si 0.1908 0.9754 0.4848 1
Si2 Si 0.1992 0.5375 0.8503 1
Si3 Si 0.2063 0.0999 0.2348 1
Si4 Si 0.3075 0.1915 0.0054 1
Si5 Si 0.3142 0.9791 0.8564 1
Si6 Si 0.3337 0.2711 0.3629 1
Si7 Si 0.3682 0.1148 0.6102 1
Si8 Si 0.3992 0.6261 0.9834 1
Si9 Si 0.4430 0.5017 0.2269 1
Si10 Si 0.4451 0.6961 0.3934 1
Si11 Si 0.6264 0.9283 0.3528 1
Si12 Si 0.6288 0.1588 0.1150 1
Si13 Si 0.6494 0.3639 0.5670 1
Si14 Si 0.7398 0.8286 0.6110 1
Si15 Si 0.7561 0.4350 0.9578 1
Si16 Si 0.8160 0.0945 0.4456 1
Si17 Si 0.8251 0.3237 0.2082 1
Si18 Si 0.8291 0.7484 0.8646 1


# Rh17S15 PBE optimized geometry
# uncorrected energy	-6.270	eV/atom
# calculated formation energy	-0.65	eV per atom
data_Rh17S15
_chemical_formula_sum 'Rh34 S30'
_space_group_name_H-M_alt 'P m -3 m'
_space_group_IT_number 221
_space_group_name_Hall '-P 4 2 3'
_cell_length_a 10.0192
_cell_length_b 10.0192
_cell_length_c 10.0192
_cell_angle_alpha 90.00
_cell_angle_beta 90.00
_cell_angle_gamma 90.00
loop_
_atom_site_label
_atom_site_type_symbol
_atom_site_fract_x
_atom_site_fract_y
_atom_site_fract_z
_atom_site_occupancy
Rh1 Rh 0.0000 0.0000 0.0000 1
Rh2 Rh 0.0000 0.5000 0.5000 1
Rh3 Rh 0.1427 0.1427 0.3576 1
Rh4 Rh 0.2614 0.5000 0.5000 1
S1 S 0.0000 0.0000 0.2372 1
S2 S 0.0000 0.3304 0.3304 1
S3 S 0.2707 0.2707 0.5000 1


# CaGe2Pt2 PBE optimized geometry
# uncorrected energy	-5.452	eV/atom
# calculated formation energy	-0.77	eV per atom
data_CaGe2Pt2
_chemical_formula_sum 'Ca2 Ge4 Pt4'
_space_group_name_H-M_alt 'P 1 21/m 1'
_space_group_IT_number 11
_cell_length_a 4.2866
_cell_length_b 4.2747
_cell_length_c 10.5021
_cell_angle_alpha 90.00
_cell_angle_beta 90.36
_cell_angle_gamma 90.00
loop_
_space_group_symop_operation_xyz
'x,y,z'
'-x,-y,-z'
'-x,y+1/2,-z'
'x,-y+1/2,z'
loop_
_atom_site_label
_atom_site_type_symbol
_atom_site_fract_x
_atom_site_fract_y
_atom_site_fract_z
_atom_site_occupancy
Ca1 Ca 0.2491 0.2500 0.2511 1
Ge1 Ge 0.2485 0.7500 0.4996 1
Ge2 Ge 0.2610 0.2500 0.8673 1
Pt1 Pt 0.2383 0.7500 0.0005 1
Pt2 Pt 0.2536 0.2500 0.6334 1


# ZrCoN2 PBE optimized geometry
# uncorrected energy	-8.711	eV/atom
# calculated formation energy	-0.81	eV per atom
data_ZrCoN2
_chemical_formula_sum 'Zr4 Co4 N8'
_space_group_name_H-M_alt 'P n m a'
_space_group_IT_number 62
_cell_length_a 5.9050
_cell_length_b 4.4189
_cell_length_c 7.1733
_cell_angle_alpha 90.00
_cell_angle_beta 90.00
_cell_angle_gamma 90.00
loop_
_space_group_symop_operation_xyz
'x,y,z'
'-x,-y,-z'
'-x+1/2,-y,z+1/2'
'x+1/2,y,-z+1/2'
'x+1/2,-y+1/2,-z+1/2'
'-x+1/2,y+1/2,z+1/2'
'-x,y+1/2,-z'
'x,-y+1/2,z'
loop_
_atom_site_label
_atom_site_type_symbol
_atom_site_fract_x
_atom_site_fract_y
_atom_site_fract_z
_atom_site_occupancy
Zr1 Zr 0.1269 0.2500 0.1214 1
Co1 Co 0.0582 0.2500 0.6542 1
N1 N 0.0166 0.7500 0.6105 1
N2 N 0.1083 0.7500 0.1131 1


# RbNa2BO3 PBE optimized geometry
# uncorrected energy	-5.550	eV/atom
# calculated formation energy	-2.25	eV per atom
data_RbNa2BO3
_chemical_formula_sum 'Rb2 Na4 B2 O6'
_space_group_name_H-M_alt 'P m m n'
_space_group_IT_number 59
_cell_length_a 5.7404
_cell_length_b 6.1991
_cell_length_c 5.6303
_cell_angle_alpha 90.00
_cell_angle_beta 90.00
_cell_angle_gamma 90.00
loop_
_space_group_symop_operation_xyz
'x,y,z'
'-x,-y,-z'
'-x+1/2,-y+1/2,z'
'x+1/2,y+1/2,-z'
'x+1/2,-y,-z'
'-x+1/2,y,z'
'-x,y+1/2,-z'
'x,-y+1/2,z'
loop_
_atom_site_label
_atom_site_type_symbol
_atom_site_fract_x
_atom_site_fract_y
_atom_site_fract_z
_atom_site_occupancy
Rb1 Rb 0.2500 0.2500 0.1063 1
Na1 Na 0.2500 0.5190 0.6351 1
B1 B 0.2500 0.7500 0.2134 1
O1 O 0.0406 0.7500 0.3440 1
O2 O 0.2500 0.7500 0.9664 1